(1)
! HfH6O3F4 r²SCAN optimized geometry; values from VASP
&SYSTEM
  ibrav = 0, nat = 56, ntyp = 4
/
ATOMIC_SPECIES
Hf 178.49 Hf.upf
H 1.01 H.upf
O 16.00 O.upf
F 19.00 F.upf
ATOMIC_POSITIONS crystal
Hf 0.242 0.042 0.462
Hf 0.242 0.458 0.962
Hf 0.758 0.542 0.038
Hf 0.758 0.958 0.538
H 0.101 0.620 0.389
H 0.101 0.880 0.889
H 0.237 0.198 0.075
H 0.237 0.302 0.575
H 0.262 0.628 0.664
H 0.262 0.872 0.164
H 0.266 0.718 0.843
H 0.266 0.782 0.343
H 0.281 0.193 0.877
H 0.281 0.307 0.377
H 0.312 0.567 0.378
H 0.312 0.933 0.878
H 0.688 0.067 0.122
H 0.688 0.433 0.622
H 0.719 0.693 0.623
H 0.719 0.807 0.123
H 0.734 0.218 0.657
H 0.734 0.282 0.157
H 0.738 0.128 0.836
H 0.738 0.372 0.336
H 0.763 0.698 0.425
H 0.763 0.802 0.925
H 0.899 0.120 0.111
H 0.899 0.380 0.611
O 0.247 0.633 0.439
O 0.247 0.867 0.939
O 0.253 0.628 0.793
O 0.253 0.872 0.293
O 0.289 0.249 0.984
O 0.289 0.251 0.484
O 0.711 0.749 0.516
O 0.711 0.751 0.016
O 0.747 0.128 0.707
O 0.747 0.372 0.207
O 0.753 0.133 0.061
O 0.753 0.367 0.561
F 0.063 0.605 0.050
F 0.063 0.895 0.550
F 0.144 0.104 0.204
F 0.144 0.396 0.704
F 0.265 0.088 0.725
F 0.265 0.412 0.225
F 0.478 0.578 0.112
F 0.478 0.922 0.612
F 0.522 0.078 0.388
F 0.522 0.422 0.888
F 0.735 0.588 0.775
F 0.735 0.912 0.275
F 0.856 0.604 0.296
F 0.856 0.896 0.796
F 0.937 0.105 0.450
F 0.937 0.395 0.950
CELL_PARAMETERS angstrom
6.713 0.000 0.000
0.000 10.200 0.000
-1.611 0.000 7.432
! Volume = 509 Å³/cell
! Space group = P2_1/c (14)
! DFT formation energy = -2.154 eV/atom
! Total magnetization = 0.0000 μB/atom


(2)
! ZnInH14O7F5 r²SCAN optimized geometry; values from VASP
&SYSTEM
  ibrav = 0, nat = 56, ntyp = 5
/
ATOMIC_SPECIES
Zn 65.41 Zn.upf
In 114.82 In.upf
H 1.01 H.upf
O 16.00 O.upf
F 19.00 F.upf
ATOMIC_POSITIONS crystal
Zn 0.000 0.000 0.000
Zn 0.000 0.500 0.500
In 0.500 0.000 0.500
In 0.500 0.500 0.000
H 0.027 0.299 0.981
H 0.049 0.325 0.222
H 0.058 0.038 0.315
H 0.110 0.355 0.730
H 0.123 0.239 0.567
H 0.181 0.978 0.747
H 0.184 0.760 0.358
H 0.201 0.751 0.988
H 0.256 0.437 0.303
H 0.338 0.726 0.642
H 0.386 0.561 0.664
H 0.388 0.704 0.302
H 0.396 0.147 0.029
H 0.401 0.057 0.160
H 0.599 0.943 0.840
H 0.604 0.853 0.971
H 0.612 0.296 0.698
H 0.614 0.439 0.336
H 0.662 0.274 0.358
H 0.744 0.563 0.697
H 0.799 0.249 0.012
H 0.816 0.240 0.642
H 0.819 0.022 0.253
H 0.877 0.761 0.433
H 0.890 0.645 0.270
H 0.942 0.962 0.685
H 0.951 0.675 0.778
H 0.973 0.701 0.019
O 0.044 0.318 0.619
O 0.050 0.006 0.777
O 0.054 0.764 0.964
O 0.131 0.381 0.325
O 0.298 0.613 0.602
O 0.312 0.071 0.069
O 0.323 0.797 0.336
O 0.677 0.203 0.664
O 0.688 0.929 0.931
O 0.702 0.387 0.398
O 0.869 0.619 0.675
O 0.946 0.236 0.036
O 0.950 0.994 0.223
O 0.956 0.682 0.381
F 0.188 0.412 0.914
F 0.235 0.103 0.478
F 0.401 0.920 0.686
F 0.439 0.723 0.008
F 0.457 0.532 0.235
F 0.543 0.468 0.765
F 0.561 0.277 0.992
F 0.599 0.080 0.314
F 0.765 0.897 0.522
F 0.812 0.588 0.086
CELL_PARAMETERS angstrom
6.591 0.000 0.000
-1.033 8.859 0.000
-1.234 -2.223 8.578
! Volume = 501 Å³/cell
! Space group = P-1 (2)
! DFT formation energy = -1.473 eV/atom
! Total magnetization = 0.0000 μB/atom


(3)
! K2H5F7 r²SCAN optimized geometry; values from VASP
&SYSTEM
  ibrav = 0, nat = 56, ntyp = 3
/
ATOMIC_SPECIES
K 39.10 K.upf
H 1.01 H.upf
F 19.00 F.upf
ATOMIC_POSITIONS crystal
K 0.004 0.250 0.001
K 0.004 0.250 0.501
K 0.463 0.236 0.365
K 0.463 0.264 0.865
K 0.537 0.736 0.135
K 0.537 0.764 0.635
K 0.996 0.750 0.499
K 0.996 0.750 0.999
H 0.151 0.505 0.288
H 0.151 0.995 0.788
H 0.160 0.030 0.289
H 0.160 0.470 0.789
H 0.268 0.701 0.817
H 0.268 0.799 0.317
H 0.284 0.020 0.618
H 0.284 0.480 0.118
H 0.286 0.018 0.024
H 0.286 0.482 0.524
H 0.714 0.518 0.476
H 0.714 0.982 0.976
H 0.716 0.520 0.882
H 0.716 0.980 0.382
H 0.732 0.201 0.683
H 0.732 0.299 0.183
H 0.840 0.530 0.211
H 0.840 0.970 0.711
H 0.849 0.005 0.212
H 0.849 0.495 0.712
F 0.143 0.626 0.784
F 0.143 0.874 0.284
F 0.149 0.505 0.425
F 0.149 0.995 0.925
F 0.150 0.505 0.148
F 0.150 0.995 0.648
F 0.169 0.155 0.292
F 0.169 0.345 0.792
F 0.359 0.742 0.341
F 0.359 0.758 0.841
F 0.377 0.046 0.602
F 0.377 0.454 0.102
F 0.379 0.042 0.087
F 0.379 0.458 0.587
F 0.621 0.542 0.413
F 0.621 0.958 0.913
F 0.623 0.546 0.898
F 0.623 0.954 0.398
F 0.641 0.242 0.159
F 0.641 0.258 0.659
F 0.831 0.655 0.208
F 0.831 0.845 0.708
F 0.850 0.005 0.352
F 0.850 0.495 0.852
F 0.851 0.005 0.075
F 0.851 0.495 0.575
F 0.857 0.126 0.716
F 0.857 0.374 0.216
CELL_PARAMETERS angstrom
9.898 0.000 0.000
0.000 8.205 0.000
-1.685 0.000 8.046
! Volume = 653 Å³/cell
! Space group = P2_1/c (14)
! DFT formation energy = -2.116 eV/atom
! Total magnetization = 0.0000 μB/atom


(4)
! KHF2 r²SCAN optimized geometry; values from VASP
&SYSTEM
  ibrav = 0, nat = 16, ntyp = 3
/
ATOMIC_SPECIES
K 39.10 K.upf
H 1.01 H.upf
F 19.00 F.upf
ATOMIC_POSITIONS crystal
K 0.000 0.000 0.250
K 0.000 0.000 0.750
K 0.500 0.500 0.250
K 0.500 0.500 0.750
H 0.000 0.500 0.000
H 0.000 0.500 0.500
H 0.500 0.000 0.000
H 0.500 0.000 0.500
F 0.144 0.356 0.000
F 0.144 0.644 0.500
F 0.356 0.144 0.500
F 0.356 0.856 0.000
F 0.644 0.144 0.000
F 0.644 0.856 0.500
F 0.856 0.356 0.500
F 0.856 0.644 0.000
CELL_PARAMETERS angstrom
5.599 0.000 0.000
0.000 5.599 0.000
0.000 0.000 6.706
! Volume = 210 Å³/cell
! Space group = I4/mcm (140)
! DFT formation energy = -2.412 eV/atom
! Total magnetization = 0.0000 μB/atom


(5)
! KH3F4 r²SCAN optimized geometry; values from VASP
&SYSTEM
  ibrav = 0, nat = 16, ntyp = 3
/
ATOMIC_SPECIES
K 39.10 K.upf
H 1.01 H.upf
F 19.00 F.upf
ATOMIC_POSITIONS crystal
K 0.000 0.000 0.000
K 0.500 0.500 0.500
H 0.060 0.250 0.440
H 0.250 0.440 0.060
H 0.440 0.060 0.250
H 0.560 0.940 0.750
H 0.750 0.560 0.940
H 0.940 0.750 0.560
F 0.073 0.750 0.427
F 0.250 0.250 0.250
F 0.250 0.573 0.927
F 0.427 0.073 0.750
F 0.573 0.927 0.250
F 0.750 0.427 0.073
F 0.750 0.750 0.750
F 0.927 0.250 0.573
CELL_PARAMETERS angstrom
3.702 2.137 3.816
-3.702 2.137 3.816
0.000 -4.274 3.816
! Volume = 181 Å³/cell
! Space group = R-3c (167)
! DFT formation energy = -2.060 eV/atom
! Total magnetization = 0.0000 μB/atom


(6)
! K2MnH2OF5 r²SCAN optimized geometry; values from VASP
&SYSTEM
  ibrav = 0, nat = 22, ntyp = 5
/
ATOMIC_SPECIES
K 39.10 K.upf
Mn 54.94 Mn.upf
H 1.01 H.upf
O 16.00 O.upf
F 19.00 F.upf
ATOMIC_POSITIONS crystal
K 0.000 0.250 0.100
K 0.000 0.750 0.900
K 0.414 0.750 0.480
K 0.586 0.250 0.520
Mn 0.500 0.000 0.000
Mn 0.500 0.500 0.000
H 0.134 0.154 0.626
H 0.134 0.346 0.626
H 0.866 0.654 0.374
H 0.866 0.846 0.374
O 0.067 0.250 0.548
O 0.933 0.750 0.452
F 0.257 0.535 0.163
F 0.257 0.965 0.163
F 0.294 0.506 0.736
F 0.294 0.994 0.736
F 0.449 0.250 0.032
F 0.551 0.750 0.968
F 0.706 0.006 0.264
F 0.706 0.494 0.264
F 0.743 0.035 0.837
F 0.743 0.465 0.837
CELL_PARAMETERS angstrom
5.837 0.000 0.000
0.000 8.237 0.000
-0.695 0.000 6.039
! Volume = 290 Å³/cell
! Space group = P2_1/m (11)
! DFT formation energy = -2.483 eV/atom
! Total magnetization = 0.3636 μB/atom


(7)
! NaHF2 r²SCAN optimized geometry; values from VASP
&SYSTEM
  ibrav = 0, nat = 12, ntyp = 3
/
ATOMIC_SPECIES
Na 22.99 Na.upf
H 1.01 H.upf
F 19.00 F.upf
ATOMIC_POSITIONS crystal
Na 0.000 0.000 0.000
Na 0.333 0.667 0.667
Na 0.667 0.333 0.333
H 0.000 0.000 0.500
H 0.333 0.667 0.167
H 0.667 0.333 0.833
F 0.000 0.000 0.417
F 0.000 0.000 0.583
F 0.333 0.667 0.084
F 0.333 0.667 0.250
F 0.667 0.333 0.750
F 0.667 0.333 0.916
CELL_PARAMETERS angstrom
3.395 0.000 0.000
-1.697 2.940 0.000
0.000 0.000 13.712
! Volume = 137 Å³/cell
! Space group = R-3m (166)
! DFT formation energy = -2.385 eV/atom
! Total magnetization = 0.0094 μB/atom


(8)
! RbVH4O2F4 r²SCAN optimized geometry; values from VASP
&SYSTEM
  ibrav = 0, nat = 48, ntyp = 5
/
ATOMIC_SPECIES
Rb 85.47 Rb.upf
V 50.94 V.upf
H 1.01 H.upf
O 16.00 O.upf
F 19.00 F.upf
ATOMIC_POSITIONS crystal
Rb 0.403 0.250 0.375
Rb 0.902 0.250 0.875
Rb 0.098 0.750 0.125
Rb 0.597 0.750 0.625
V 0.250 0.000 0.750
V 0.000 0.500 0.500
V 0.750 0.000 0.250
V 0.500 0.500 0.000
H 0.807 0.056 0.425
H 0.307 0.056 0.925
H 0.002 0.444 0.325
H 0.501 0.444 0.825
H 0.693 0.944 0.075
H 0.193 0.944 0.575
H 0.499 0.556 0.175
H 0.998 0.556 0.675
H 0.819 0.829 0.409
H 0.319 0.829 0.909
H 0.241 0.671 0.341
H 0.741 0.671 0.841
H 0.681 0.171 0.091
H 0.181 0.171 0.591
H 0.259 0.329 0.159
H 0.759 0.329 0.659
O 0.855 0.982 0.381
O 0.355 0.981 0.881
O 0.124 0.518 0.369
O 0.624 0.518 0.869
O 0.645 0.019 0.119
O 0.145 0.018 0.619
O 0.376 0.482 0.131
O 0.876 0.482 0.631
F 0.813 0.306 0.256
F 0.313 0.305 0.756
F 0.757 0.195 0.494
F 0.257 0.194 0.994
F 0.687 0.695 0.244
F 0.187 0.695 0.744
F 0.743 0.806 0.006
F 0.243 0.805 0.506
F 0.771 0.601 0.461
F 0.271 0.601 0.961
F 0.420 0.899 0.289
F 0.920 0.899 0.789
F 0.729 0.399 0.039
F 0.229 0.399 0.539
F 0.080 0.101 0.211
F 0.580 0.101 0.711
CELL_PARAMETERS angstrom
-0.001 0.000 6.254
5.966 -0.023 -3.128
1.657 14.853 0.000
! Volume = 554 Å³/cell
! DFT formation energy = -2.159 eV/atom
! Total magnetization = 0.1667 μB/atom


(9)
! SiH10O4F6 r²SCAN optimized geometry; values from VASP
&SYSTEM
  ibrav = 0, nat = 42, ntyp = 4
/
ATOMIC_SPECIES
Si 28.09 Si.upf
H 1.01 H.upf
O 16.00 O.upf
F 19.00 F.upf
ATOMIC_POSITIONS crystal
Si 0.000 0.000 0.000
Si 0.000 0.500 0.500
H 0.172 0.118 0.650
H 0.172 0.382 0.150
H 0.213 0.123 0.414
H 0.213 0.377 0.914
H 0.257 0.725 0.763
H 0.257 0.775 0.263
H 0.390 0.643 0.370
H 0.390 0.857 0.870
H 0.433 0.194 0.628
H 0.433 0.306 0.128
H 0.567 0.694 0.872
H 0.567 0.806 0.372
H 0.610 0.143 0.130
H 0.610 0.357 0.630
H 0.743 0.225 0.737
H 0.743 0.275 0.237
H 0.787 0.623 0.086
H 0.787 0.877 0.586
H 0.828 0.618 0.850
H 0.828 0.882 0.350
O 0.291 0.114 0.568
O 0.291 0.386 0.068
O 0.404 0.725 0.286
O 0.404 0.775 0.786
O 0.596 0.225 0.214
O 0.596 0.275 0.714
O 0.709 0.614 0.932
O 0.709 0.886 0.432
F 0.028 0.609 0.713
F 0.028 0.891 0.213
F 0.064 0.134 0.172
F 0.064 0.366 0.672
F 0.284 0.519 0.512
F 0.284 0.981 0.012
F 0.716 0.019 0.988
F 0.716 0.481 0.488
F 0.936 0.634 0.328
F 0.936 0.866 0.828
F 0.972 0.109 0.787
F 0.972 0.391 0.287
CELL_PARAMETERS angstrom
5.937 0.000 0.000
0.000 9.801 0.000
-1.611 0.000 6.242
! Volume = 363 Å³/cell
! Space group = P2_1/c (14)
! DFT formation energy = -1.762 eV/atom
! Total magnetization = 0.0000 μB/atom


(10)
! VH6O3F3 r²SCAN optimized geometry; values from VASP
&SYSTEM
  ibrav = 0, nat = 13, ntyp = 4
/
ATOMIC_SPECIES
V 50.94 V.upf
H 1.01 H.upf
O 16.00 O.upf
F 19.00 F.upf
ATOMIC_POSITIONS crystal
V 0.000 0.000 0.000
H 0.273 0.207 0.631
H 0.277 0.644 0.215
H 0.344 0.661 0.733
H 0.347 0.731 0.658
H 0.398 0.223 0.723
H 0.402 0.737 0.230
O 0.017 0.215 0.201
O 0.765 0.470 0.533
O 0.772 0.530 0.370
F 0.321 0.052 0.053
F 0.834 0.003 0.727
F 0.837 0.733 0.021
CELL_PARAMETERS angstrom
5.971 0.000 0.000
-2.078 6.045 0.000
-2.151 -2.492 5.610
! Volume = 202 Å³/cell
! Space group = P1 (1)
! DFT formation energy = -1.038 eV/atom
! Total magnetization = 0.1538 μB/atom


(11)
! SbH7F12 r²SCAN optimized geometry; values from VASP
&SYSTEM
  ibrav = 0, nat = 20, ntyp = 3
/
ATOMIC_SPECIES
Sb 121.76 Sb.upf
H 1.01 H.upf
F 19.00 F.upf
ATOMIC_POSITIONS crystal
Sb 0.000 0.000 0.000
H 0.178 0.197 0.565
H 0.260 0.283 0.974
H 0.360 0.366 0.367
H 0.501 0.499 0.500
H 0.634 0.640 0.633
H 0.717 0.740 0.026
H 0.803 0.822 0.435
F 0.085 0.084 0.388
F 0.143 0.698 0.082
F 0.240 0.272 0.691
F 0.269 0.284 0.176
F 0.302 0.857 0.918
F 0.428 0.425 0.543
F 0.575 0.572 0.457
F 0.698 0.143 0.081
F 0.716 0.731 0.824
F 0.728 0.760 0.309
F 0.857 0.302 0.919
F 0.916 0.915 0.612
CELL_PARAMETERS angstrom
7.169 -2.974 0.000
7.169 2.974 0.000
-1.722 0.000 4.767
! Volume = 203 Å³/cell
! Space group = C2 (5)
! DFT formation energy = -1.867 eV/atom
! Total magnetization = 0.0000 μB/atom


Number 9 is which compound? SiH10O4F6


Among the records above, which one has the highest total magnetization? K2MnH2OF5


Which of these has the highest volume? K2H5F7